A geometry-optimized RbMgO3 structure. Source: Materials Project, functional GGA-PBE.

Cell and atoms, written as POSCAR:
```
RbMgO3
1.0
-3.6407 0.9580 -1.8503
-0.6650 -4.0645 -0.7959
-1.9747 -0.3974 3.6795
Rb Mg O
1 1 3
Cartesian
0.0000 0.0000 0.0000
-3.1402 -1.7520 0.5166
-2.1528 -1.5533 -1.3231
-2.8077 0.2803 0.9146
-1.3198 -2.2310 1.4418
```

Computed properties:
As for the MP2020-corrected energy: -4.883 eV/atom. Its formation enthalpy at 0 K is -6.99 eV/f.u. The total energy is -4.471 eV per atom.